A relaxed structure of MnPb2O4, computed with PBE+U.

Properties
Total DFT energy (no corrections), eV per atom: -6.218
Space-group type: No. 114
Piezoelectric modulus e_max, C/m2: 0.159

abc: 13.0854 13.0854 5.2455
angles: 90.00 90.00 90.00
Atoms (fractional coordinates):
Pb 0.5796 0.6234 0.2567
Pb 0.1234 0.0796 0.7567
Pb 0.3274 0.0058 0.2065
Pb 0.4204 0.3766 0.2567
Pb 0.9204 0.1234 0.2433
Pb 0.6726 0.9942 0.2065
Pb 0.4942 0.1726 0.7065
Pb 0.8766 0.9204 0.7567
Pb 0.5058 0.8274 0.7065
Pb 0.1726 0.5058 0.2935
Pb 0.8274 0.4942 0.2935
Pb 0.0058 0.6726 0.7935
Pb 0.9942 0.3274 0.7935
Pb 0.0796 0.8766 0.2433
Pb 0.3766 0.5796 0.7433
Pb 0.6234 0.4204 0.7433
O 0.5875 0.6851 0.8451
O 0.4125 0.3149 0.8451
O 0.2565 0.1761 0.9269
O 0.9125 0.1851 0.6549
O 0.6851 0.4125 0.1549
O 0.9421 0.7735 0.0999
O 0.7735 0.0579 0.9001
O 0.7797 0.6413 0.0667
O 0.4421 0.7265 0.4001
O 0.0875 0.8149 0.6549
O 0.3239 0.2435 0.4269
O 0.1413 0.2797 0.5667
O 0.2435 0.6761 0.5731
O 0.3149 0.5875 0.1549
O 0.6413 0.2203 0.9333
O 0.2265 0.9421 0.9001
O 0.5579 0.2735 0.4001
O 0.0579 0.2265 0.0999
O 0.8149 0.9125 0.3451
O 0.3587 0.7797 0.9333
O 0.2735 0.4421 0.5999
O 0.2203 0.3587 0.0667
O 0.7265 0.5579 0.5999
O 0.7435 0.8239 0.9269
O 0.7203 0.1413 0.4333
O 0.7565 0.3239 0.5731
O 0.8587 0.7203 0.5667
O 0.8239 0.2565 0.0731
O 0.1851 0.0875 0.3451
O 0.1761 0.7435 0.0731
O 0.6761 0.7565 0.4269
O 0.2797 0.8587 0.4333
Mn 0.1938 0.2290 0.2394
Mn 0.6938 0.2710 0.2606
Mn 0.2710 0.3062 0.7393
Mn 0.7290 0.6938 0.7393
Mn 0.7710 0.1938 0.7607
Mn 0.2290 0.8062 0.7607
Mn 0.3062 0.7290 0.2606
Mn 0.8062 0.7710 0.2394